Eu2B2O5: optimized geometry, meta-GGA r2SCAN.

abc: 5.320 7.692 11.848
angles: 86.50 90.00 90.00
Element x y z (fractional)
Eu (0.416, 0.876, 0.839)
Eu (0.584, 0.124, 0.161)
Eu (0.916, 0.124, 0.661)
Eu (0.084, 0.876, 0.339)
Eu (0.964, 0.617, 0.633)
Eu (0.036, 0.383, 0.367)
Eu (0.464, 0.383, 0.867)
Eu (0.536, 0.617, 0.133)
B (0.457, 0.340, 0.582)
B (0.543, 0.660, 0.418)
B (0.957, 0.660, 0.918)
B (0.043, 0.340, 0.082)
B (0.434, 0.840, 0.596)
B (0.566, 0.160, 0.404)
B (0.933, 0.160, 0.904)
B (0.067, 0.840, 0.096)
O (0.219, 0.894, 0.645)
O (0.781, 0.106, 0.355)
O (0.719, 0.106, 0.854)
O (0.281, 0.894, 0.146)
O (0.661, 0.857, 0.644)
O (0.339, 0.143, 0.356)
O (0.161, 0.143, 0.856)
O (0.839, 0.857, 0.144)
O (0.108, 0.752, 0.995)
O (0.892, 0.248, 0.005)
O (0.608, 0.248, 0.505)
O (0.392, 0.752, 0.495)
O (0.204, 0.353, 0.569)
O (0.796, 0.647, 0.431)
O (0.704, 0.647, 0.931)
O (0.296, 0.353, 0.069)
O (0.097, 0.595, 0.834)
O (0.903, 0.405, 0.166)
O (0.597, 0.405, 0.666)
O (0.403, 0.595, 0.334)

=====

EuB2O4: optimized geometry, meta-GGA r2SCAN.

abc: 4.342 6.523 12.059
angles: 90.00 90.00 90.00
Element x y z (fractional)
Eu (0.263, 0.250, 0.000)
Eu (0.237, 0.750, 0.500)
Eu (0.737, 0.750, 0.000)
Eu (0.763, 0.250, 0.500)
B (0.829, 0.125, 0.194)
B (0.829, 0.375, 0.806)
B (0.671, 0.625, 0.306)
B (0.671, 0.875, 0.694)
B (0.171, 0.875, 0.806)
B (0.171, 0.625, 0.194)
B (0.329, 0.375, 0.694)
B (0.329, 0.125, 0.306)
O (0.733, 0.094, 0.091)
O (0.733, 0.406, 0.909)
O (0.767, 0.594, 0.409)
O (0.767, 0.906, 0.591)
O (0.267, 0.906, 0.909)
O (0.267, 0.594, 0.091)
O (0.233, 0.406, 0.591)
O (0.233, 0.094, 0.409)
O (0.148, 0.145, 0.211)
O (0.148, 0.355, 0.789)
O (0.352, 0.645, 0.289)
O (0.352, 0.855, 0.711)
O (0.852, 0.855, 0.789)
O (0.852, 0.645, 0.211)
O (0.648, 0.355, 0.711)
O (0.648, 0.145, 0.289)

=====

EuB3O6: optimized geometry, meta-GGA r2SCAN.

abc: 6.374 6.374 6.303
angles: 62.60 62.60 79.37
Element x y z (fractional)
Eu (0.788, 0.212, 0.750)
Eu (0.212, 0.788, 0.250)
B (0.773, 0.227, 0.250)
B (0.227, 0.773, 0.750)
B (0.335, 0.203, 0.591)
B (0.797, 0.665, 0.909)
B (0.665, 0.797, 0.409)
B (0.203, 0.335, 0.091)
O (0.776, 0.016, 0.208)
O (0.199, 0.377, 0.511)
O (0.623, 0.801, 0.989)
O (0.801, 0.623, 0.489)
O (0.220, 0.578, 0.994)
O (0.422, 0.780, 0.506)
O (0.780, 0.422, 0.006)
O (0.578, 0.220, 0.494)
O (0.224, 0.984, 0.792)
O (0.016, 0.776, 0.708)
O (0.377, 0.199, 0.011)
O (0.984, 0.224, 0.292)

=====

Number 1: calculated formation energy -2.9869 eV/atom, ρ 5.6 g cm⁻³. Number 2: calculated formation energy -2.8836 eV/atom, ρ 4.6 g cm⁻³. Number 3: calculated formation energy -2.7734 eV/atom, ρ 4.6 g cm⁻³.